1.
DFT (GGA-PBE) results for a geometry-optimized DyTmCd2 structure.

```
DyTmCd2
1.0
0.000 3.730 3.730
3.730 0.000 3.730
3.730 3.730 0.000
Dy Tm Cd
1 1 2
Cartesian
3.730 3.730 3.730
0.000 0.000 0.000
1.865 1.865 1.865
5.595 5.595 5.595
```

**Raw total energy**: -3.042 eV per atom
**Formation energy**: -310 meV per atom


2.
DFT (GGA-PBE) results for a geometry-optimized ErCd structure.

```
ErCd
1.0
-1.205 -2.984 1.866
3.480 -0.715 1.104
-0.527 2.103 3.023
Cd Er
1 1
Cartesian
0.000 0.000 0.000
0.874 -0.798 2.996
```

**Raw total energy**: -3.062 eV per atom
**Formation energy**: -317 meV per atom


3.
DFT (GGA-PBE) results for a geometry-optimized ErCd2 structure.

```
ErCd2
1.0
2.480 -4.296 0.000
2.480 4.296 0.000
0.000 0.000 3.425
Cd Er
2 1
Cartesian
2.480 1.432 1.712
2.480 -1.432 1.712
0.000 0.000 0.000
```

**Raw total energy**: -2.431 eV per atom
**Formation energy**: -293 meV per atom


4.
DFT (GGA-PBE) results for a geometry-optimized ErCd2 structure.

```
ErCd2
1.0
2.727 -4.723 0.000
2.727 4.723 0.000
0.000 0.000 3.214
Cd Er
2 1
Cartesian
2.727 1.574 0.138
2.727 -1.574 3.076
0.000 0.000 0.000
```

**Raw total energy**: -2.005 eV per atom
**Formation energy**: 132 meV per atom